Entry 1:
Entry from the Materials Project database: a relaxed structure of Ca16Mg3Sn13 (PBE).

Computed properties:
- energy of formation from the pure elements (meV per atom) = -603
- size of the total moment (μB/atom) = 0.032
- DFT total energy (eV/atom) = -3.38

a = 9.255 Å, b = 9.255 Å, c = 17.530 Å
α = 90.00°, β = 90.00°, γ = 141.86°
Atoms (fractional coordinates):
Sn1 0.097 0.402 0.000
Sn2 0.250 0.750 0.250
Sn3 0.252 0.252 0.653
Mg1 0.000 0.000 0.000
Ca1 0.933 0.567 0.900
Ca2 0.149 0.350 0.818
Ca3 0.068 0.434 0.399
Ca4 0.850 0.650 0.683
Ca5 0.933 0.567 0.100
Mg2 0.500 0.500 0.000
Ca6 0.434 0.068 0.399
Ca7 0.068 0.434 0.601
Ca8 0.434 0.068 0.601
Mg3 0.499 0.499 0.500
Ca9 0.850 0.650 0.317
Sn4 0.402 0.097 0.000
Sn5 0.750 0.250 0.250
Sn6 0.749 0.749 0.846
Sn7 0.749 0.749 0.154
Ca10 0.350 0.149 0.818
Ca11 0.650 0.850 0.317
Ca12 0.650 0.850 0.683
Sn8 0.252 0.252 0.347
Ca13 0.149 0.350 0.182
Sn9 0.001 0.001 0.500
Sn10 0.903 0.595 0.500
Ca14 0.567 0.933 0.100
Sn11 0.750 0.250 0.750
Ca15 0.567 0.933 0.900
Ca16 0.350 0.149 0.182
Sn12 0.250 0.750 0.750
Sn13 0.595 0.903 0.500

***

Entry 2:
Entry from the Materials Project database: a relaxed structure of Lu4CdIr (PBE).

Computed properties:
- energy of formation from the pure elements (meV per atom) = -553
- DFT total energy (eV/atom) = -5.19

a = 9.459 Å, b = 9.459 Å, c = 9.459 Å
α = 60.00°, β = 60.00°, γ = 60.00°
Atoms (fractional coordinates):
Lu1 0.190 0.810 0.810
Lu2 0.349 0.349 0.349
Lu3 0.938 0.562 0.938
Lu4 0.810 0.190 0.190
Lu5 0.562 0.938 0.562
Lu6 0.810 0.190 0.810
Lu7 0.349 0.349 0.953
Cd1 0.582 0.582 0.582
Cd2 0.582 0.582 0.255
Lu8 0.938 0.938 0.562
Lu9 0.938 0.562 0.562
Ir1 0.574 0.142 0.142
Lu10 0.562 0.562 0.938
Lu11 0.349 0.953 0.349
Cd3 0.255 0.582 0.582
Ir2 0.142 0.142 0.142
Lu12 0.562 0.938 0.938
Lu13 0.190 0.190 0.810
Lu14 0.953 0.349 0.349
Lu15 0.190 0.810 0.190
Lu16 0.810 0.810 0.190
Cd4 0.582 0.255 0.582
Ir3 0.142 0.142 0.574
Ir4 0.142 0.574 0.142

***

Entry 3:
Entry from the Materials Project database: a relaxed structure of Sn4Pt (PBE).

Computed properties:
- energy of formation from the pure elements (meV per atom) = -281
- DFT total energy (eV/atom) = -4.70

a = 6.648 Å, b = 6.648 Å, c = 6.519 Å
α = 90.00°, β = 90.00°, γ = 121.13°
Atoms (fractional coordinates):
Sn1 0.292 0.041 0.667
Sn2 0.208 0.459 0.833
Pt1 0.500 0.500 0.500
Sn3 0.708 0.959 0.667
Sn4 0.041 0.292 0.333
Sn5 0.541 0.792 0.167
Pt2 0.000 0.000 0.000
Sn6 0.959 0.708 0.333
Sn7 0.792 0.541 0.833
Sn8 0.459 0.208 0.167